[1]
Li5CoO3F | PBE+U | relaxed

a = 6.543 Å, b = 6.543 Å, c = 4.755 Å
α = 80.24°, β = 80.24°, γ = 88.90°
Fractional coordinates of all 20 atoms:
Li (0.659, 0.084, 0.884)
Co (0.372, 0.372, 0.876)
Li (0.431, 0.830, 0.626)
Li (0.140, 0.140, 0.618)
O (0.363, 0.637, 0.000)
O (0.601, 0.893, 0.246)
Li (0.341, 0.916, 0.116)
F (0.148, 0.852, 0.500)
O (0.399, 0.107, 0.754)
Li (0.170, 0.569, 0.374)
Li (0.569, 0.170, 0.374)
Li (0.830, 0.431, 0.626)
O (0.893, 0.601, 0.246)
F (0.852, 0.148, 0.500)
Li (0.916, 0.341, 0.116)
Co (0.628, 0.628, 0.124)
Li (0.860, 0.860, 0.382)
Li (0.084, 0.659, 0.884)
O (0.637, 0.363, 0.000)
O (0.107, 0.399, 0.754)

Summary:
The energy of formation from the pure elements is -2004 meV/atom. The uncorrected energy comes out at -4.930 eV per atom.

=====

[2]
VZnPO5 | PBE+U | relaxed

a = 5.471 Å, b = 5.471 Å, c = 7.209 Å
α = 72.47°, β = 72.47°, γ = 97.17°
Fractional coordinates of all 16 atoms:
O (0.410, 0.590, 0.250)
O (0.700, 0.208, 0.097)
Zn (0.819, 0.181, 0.750)
O (0.208, 0.700, 0.597)
O (0.590, 0.410, 0.750)
V (0.500, 0.500, 0.000)
P (0.150, 0.850, 0.750)
O (0.843, 0.797, 0.868)
O (0.203, 0.157, 0.632)
O (0.797, 0.843, 0.368)
P (0.850, 0.150, 0.250)
O (0.300, 0.792, 0.903)
V (0.500, 0.500, 0.500)
Zn (0.181, 0.819, 0.250)
O (0.157, 0.203, 0.132)
O (0.792, 0.300, 0.403)

Summary:
For the energy above the most stable polymorph in this dataset, the calculation gives 6 meV/atom. The energy of formation from the pure elements is -2468 meV/atom. The uncorrected energy comes out at -6.888 eV per atom.

=====

[3]
SrCaMnGaO5 | PBE+U | relaxed

a = 5.456 Å, b = 5.673 Å, c = 8.667 Å
α = 71.30°, β = 71.63°, γ = 89.98°
Fractional coordinates of all 18 atoms:
Sr (0.883, 0.407, 0.229)
O (0.753, 0.763, 0.981)
Ga (0.213, 0.180, 0.501)
Ca (0.594, 0.133, 0.787)
O (0.662, 0.570, 0.708)
Ga (0.713, 0.821, 0.499)
O (0.193, 0.192, 0.714)
O (0.371, 0.430, 0.292)
Mn (0.002, 0.000, 0.000)
Mn (0.503, 0.500, 0.000)
O (0.377, 0.889, 0.480)
O (0.262, 0.764, 0.980)
O (0.740, 0.230, 0.019)
O (0.907, 0.808, 0.286)
Ca (0.381, 0.867, 0.213)
O (0.857, 0.111, 0.521)
O (0.248, 0.244, 0.021)
Sr (0.112, 0.592, 0.771)

Summary:
The energy of formation from the pure elements is -2698 meV/atom. The uncorrected energy comes out at -6.644 eV per atom.

=====

[4]
Na2NiS2O14 | PBE+U | relaxed

a = 5.645 Å, b = 8.229 Å, c = 11.395 Å
α = 90.00°, β = 90.00°, γ = 103.92°
Fractional coordinates of all 38 atoms:
O (0.946, 0.612, 0.763)
S (0.228, 0.910, 0.363)
O (0.769, 0.934, 0.574)
Na (0.845, 0.138, 0.340)
O (0.054, 0.888, 0.263)
O (0.476, 0.405, 0.179)
Na (0.155, 0.862, 0.660)
O (0.317, 0.371, 0.612)
O (0.142, 0.770, 0.451)
S (0.228, 0.410, 0.137)
O (0.201, 0.501, 0.438)
S (0.772, 0.090, 0.637)
O (0.476, 0.905, 0.321)
O (0.769, 0.434, 0.926)
Na (0.845, 0.638, 0.160)
O (0.231, 0.566, 0.074)
O (0.407, 0.132, 0.891)
O (0.858, 0.230, 0.549)
O (0.593, 0.368, 0.391)
Ni (0.500, 0.000, 0.000)
O (0.593, 0.868, 0.109)
O (0.317, 0.871, 0.888)
O (0.799, 0.499, 0.562)
S (0.772, 0.590, 0.863)
Ni (0.500, 0.500, 0.500)
O (0.799, 0.999, 0.938)
O (0.231, 0.066, 0.426)
O (0.201, 0.001, 0.062)
O (0.054, 0.388, 0.237)
O (0.407, 0.632, 0.609)
O (0.142, 0.270, 0.049)
Na (0.155, 0.362, 0.840)
O (0.683, 0.129, 0.112)
O (0.524, 0.095, 0.679)
O (0.683, 0.629, 0.388)
O (0.524, 0.595, 0.821)
O (0.946, 0.112, 0.737)
O (0.858, 0.730, 0.951)

Summary:
The energy of formation from the pure elements is -860 meV/atom. The uncorrected energy comes out at -4.744 eV per atom.